DFT (PBE-GGA) results for ZnBi6P2O15 after structural relaxation.

**Magnetic moment**: 0.00 μB per atom

a b c (Å): 15.4709 5.5237 17.2046
angles (deg): 90.00 104.48 90.00
Space group C2 (No. 5)
One atom of each set of equivalent atoms:
1 Zn 0.1871 0.0000 0.2677
2 Bi 0.0255 0.0127 0.9050
3 Bi 0.0262 0.5568 0.2426
4 Bi 0.0696 0.0095 0.4228
5 Bi 0.0963 0.5054 0.5878
6 Bi 0.1430 0.0283 0.7427
7 Bi 0.2108 0.4919 0.8899
8 P 0.1407 0.4375 0.0790
9 P 0.2139 0.4912 0.3973
10 O 0.0000 0.2664 0.5000
11 O 0.0000 0.7586 0.5000
12 O 0.0256 0.7497 0.6621
13 O 0.0320 0.2442 0.6602
14 O 0.0497 0.3950 0.1020
15 O 0.0669 0.9263 0.2084
16 O 0.0946 0.7356 0.8392
17 O 0.0961 0.2260 0.8369
18 O 0.1463 0.2739 0.0063
19 O 0.1515 0.7075 0.0609
20 O 0.1681 0.7082 0.3421
21 O 0.1777 0.4876 0.4725
22 O 0.1805 0.2531 0.3479
23 O 0.1831 0.0129 0.5880
24 O 0.2063 0.4130 0.7617
25 O 0.2176 0.3493 0.1522


DFT (PBE-GGA) results for Bi10Pb6O21 after structural relaxation.

a b c (Å): 7.3596 7.6504 14.3960
angles (deg): 92.41 97.40 118.35
Space group P-1 (No. 2)
One atom of each set of equivalent atoms:
1 Bi 0.0074 0.3127 0.0727
2 Bi 0.0143 0.2348 0.5448
3 Bi 0.1470 0.9324 0.1871
4 Bi 0.2415 0.5149 0.3248
5 Bi 0.4337 0.2306 0.9765
6 Pb 0.2271 0.9835 0.7072
7 Pb 0.3034 0.5257 0.7943
8 Pb 0.4753 0.2129 0.4434
9 O 0.0146 0.9166 0.3251
10 O 0.0351 0.6781 0.6221
11 O 0.0427 0.1770 0.1960
12 O 0.0914 0.5986 0.2102
13 O 0.1667 0.2616 0.8791
14 O 0.1904 0.9632 0.0273
15 O 0.2136 0.0539 0.5325
16 O 0.2843 0.7579 0.4275
17 O 0.3093 0.7489 0.9004
18 O 0.4007 0.4096 0.0833
19 O 0.5000 0.5000 0.5000


DFT (PBE-GGA) results for Bi12PbO19 after structural relaxation.

**Magnetic moment**: 0.00 μB per atom

a b c (Å): 14.8227 14.8227 8.9016
angles (deg): 90.00 90.00 120.00
Space group R3 (No. 146, hexagonal axes)
One atom of each set of equivalent atoms:
1 Bi 0.0173 0.1867 0.0000
2 Bi 0.0521 0.2622 0.4233
3 Bi 0.1012 0.7038 0.8968
4 Bi 0.1563 0.1419 0.6729
5 Pb 0.0000 0.0000 0.2959
6 O 0.0000 0.0000 0.7244
7 O 0.0084 0.6361 0.0892
8 O 0.0463 0.8425 0.9153
9 O 0.0512 0.3396 0.9330
10 O 0.0859 0.5431 0.8816
11 O 0.1519 0.0684 0.4240
12 O 0.1655 0.4507 0.4192


DFT (PBE-GGA) results for Bi12Pb4O21 after structural relaxation.

**Magnetic moment**: 0.00 μB per atom

a b c (Å): 7.2879 7.6478 14.2969
angles (deg): 93.35 97.50 116.46
Space group P-1 (No. 2)
One atom of each set of equivalent atoms:
1 Bi 0.0079 0.3025 0.0719
2 Bi 0.0158 0.2401 0.5440
3 Bi 0.1540 0.9338 0.1897
4 Bi 0.2409 0.4945 0.3278
5 Bi 0.2785 0.5069 0.8000
6 Bi 0.4344 0.2294 0.9757
7 Pb 0.2436 0.9859 0.7040
8 Pb 0.4728 0.2076 0.4429
9 O 0.0184 0.1194 0.6843
10 O 0.0357 0.1585 0.1938
11 O 0.0432 0.6795 0.6230
12 O 0.0699 0.5691 0.2074
13 O 0.1580 0.2700 0.8910
14 O 0.2038 0.9749 0.0303
15 O 0.2111 0.0475 0.5322
16 O 0.2784 0.7445 0.4258
17 O 0.3061 0.7470 0.8982
18 O 0.4237 0.4234 0.0887
19 O 0.5000 0.5000 0.5000


| no. | volume (Å³/cell) | final energy (eV per atom) |
| --- | --- | --- |
| 1 | 1424 | -6.196 |
| 2 | 702 | -5.639 |
| 3 | 1694 | -5.707 |
| 4 | 701 | -5.592 |